DFT (PBE with a Hubbard U) results for a relaxed LiFe2B2O6 crystal. Values from VASP.

Structure (Quantum ESPRESSO input):
```
&SYSTEM
  ibrav = 0, nat = 44, ntyp = 4
/
ATOMIC_SPECIES
Li 6.94 Li.upf
O 16.00 O.upf
Fe 55.84 Fe.upf
B 10.81 B.upf
CELL_PARAMETERS angstrom
-2.700 -2.716 3.670
3.547 -7.774 -3.026
7.716 0.787 6.601
ATOMIC_POSITIONS angstrom
Li 0.069 -0.851 2.124
Li 4.021 -5.750 5.505
Li 8.281 -8.803 5.056
Li 7.893 -3.607 4.715
O 1.054 -1.580 0.327
O -0.973 -2.140 3.158
O 1.403 -6.824 0.599
O 6.001 -3.808 3.594
O 5.612 -6.848 4.801
O 6.032 -5.030 7.223
O 8.034 -5.593 4.321
O 2.715 -2.784 2.296
O 7.425 -8.201 6.800
O 9.407 -7.566 4.091
O 5.362 -1.670 4.428
O 2.871 -5.979 3.915
O 4.583 -6.198 2.257
O 7.047 -6.105 1.587
O 0.357 -4.069 2.650
O 2.025 -0.641 3.087
O 7.106 -2.971 6.522
O 4.976 -2.943 7.706
O 1.471 -3.601 5.682
O 2.209 -4.668 -0.058
O 3.185 -8.072 2.761
O 4.105 -3.638 5.077
O 3.525 -6.649 -0.475
O 6.444 -8.999 4.091
Fe 1.268 -3.443 1.010
Fe 2.218 -4.129 3.792
Fe 6.856 -0.974 5.870
Fe 3.094 -3.082 6.692
Fe 7.308 -6.201 6.242
Fe 6.240 -5.709 3.326
Fe 5.326 -6.585 0.476
Fe 1.612 -8.682 1.361
B 5.135 -3.036 4.361
B 2.971 -1.425 2.486
B 6.056 -3.667 7.157
B 9.205 -6.235 3.832
B 3.493 -6.740 2.985
B 5.484 -8.239 4.693
B -0.742 -3.477 3.270
B 2.369 -6.026 0.048
```

Calculated values
E	-7.1096	eV/atom
excess energy over the best structure of this formula in the dataset	0.012	eV/atom
ΔE_f	-2.2677	eV per atom

***

DFT (PBE with a Hubbard U) results for a relaxed LiFe2B2O6 crystal. Values from VASP.

Structure (Quantum ESPRESSO input):
```
&SYSTEM
  ibrav = 0, nat = 44, ntyp = 4
/
ATOMIC_SPECIES
B 10.81 B.upf
O 16.00 O.upf
Fe 55.84 Fe.upf
Li 6.94 Li.upf
CELL_PARAMETERS angstrom
5.285 0.000 0.000
-0.042 9.064 0.000
-2.363 -4.526 10.126
ATOMIC_POSITIONS angstrom
B -1.534 2.900 8.935
B 0.972 1.560 3.705
B 3.604 6.029 3.747
B 4.457 1.529 1.240
B 1.944 3.066 6.279
B 1.770 6.065 1.306
B -0.700 -1.590 6.273
B 1.080 -1.422 8.791
O 2.420 2.799 9.330
O 1.207 7.286 1.713
O 1.777 -2.516 8.295
O 1.669 2.735 3.353
O 3.880 2.755 1.677
O 0.606 -1.732 5.739
O -1.204 -0.369 6.530
O 3.198 2.855 5.726
O -0.899 1.716 8.518
O 2.249 6.137 4.118
O 0.505 1.525 0.832
O -1.410 -2.757 6.565
O 3.075 6.055 0.809
O -0.322 1.712 4.165
O -0.265 -1.494 9.141
O 4.187 4.788 3.630
O 1.044 4.901 1.424
O 1.332 4.286 6.179
O 1.784 -0.230 8.994
O 1.540 0.336 3.603
O 4.345 7.151 3.415
O 3.684 0.411 1.218
O -0.864 4.073 9.046
O 1.271 1.992 6.873
Fe 1.921 6.057 6.356
Fe -0.647 1.488 6.249
Fe 4.395 7.662 1.277
Fe 3.574 2.969 3.761
Fe 0.980 -1.449 3.761
Fe 1.049 1.579 8.800
Fe -1.527 -3.172 8.760
Fe 1.839 3.065 1.165
Li 4.436 4.531 1.019
Li 1.842 -0.022 0.930
Li 0.893 4.587 3.637
Li -1.624 -0.133 8.410
```

Calculated values
E	-7.1089	eV/atom
excess energy over the best structure of this formula in the dataset	0.013	eV/atom
ΔE_f	-2.2670	eV per atom

***

DFT (PBE with a Hubbard U) results for a relaxed LiFe8B8O24 crystal. Values from VASP.

Structure (Quantum ESPRESSO input):
```
&SYSTEM
  ibrav = 0, nat = 41, ntyp = 4
/
ATOMIC_SPECIES
O 16.00 O.upf
B 10.81 B.upf
Fe 55.84 Fe.upf
Li 6.94 Li.upf
CELL_PARAMETERS angstrom
5.237 0.000 0.000
0.168 9.134 0.000
0.025 0.007 10.182
ATOMIC_POSITIONS angstrom
O 4.101 3.347 5.811
O 3.144 0.052 6.908
O 1.767 3.505 3.788
O 3.939 1.217 4.419
O 0.537 4.627 6.946
O 1.005 1.065 6.483
O 1.294 5.756 4.455
O 3.192 5.967 1.325
O 0.990 5.134 0.759
O 1.540 7.910 5.944
O 1.641 6.445 8.457
O 2.269 3.264 8.884
O 3.707 2.673 1.768
O 4.875 4.474 3.272
O 4.974 7.787 9.053
O 3.649 5.615 6.433
O 2.158 0.113 3.251
O 1.212 7.330 1.643
O 4.460 3.985 9.512
O 4.424 8.148 3.472
O 0.464 1.447 1.274
O 3.586 0.450 0.812
O 1.940 8.607 9.470
O 4.166 1.861 8.448
B 3.592 3.039 8.939
B 1.830 6.141 1.251
B 3.480 0.068 3.739
B 1.081 7.617 8.977
B 4.487 4.565 6.397
B 4.364 1.526 1.290
B 1.990 9.118 6.438
B 0.929 4.563 3.845
Fe 1.096 7.697 3.912
Fe 3.564 3.058 3.854
Fe 4.423 4.475 1.292
Fe 0.995 4.620 8.931
Fe 4.433 1.494 6.383
Fe 3.548 0.029 8.903
Fe 1.840 6.059 6.373
Fe 1.715 0.067 1.319
Li 4.422 7.547 1.618
```

Calculated values
E	-7.2593	eV/atom
excess energy over the best structure of this formula in the dataset	0.006	eV/atom
ΔE_f	-2.2027	eV per atom

***

DFT (PBE with a Hubbard U) results for a relaxed LiFe2B2O6 crystal. Values from VASP.

Structure (Quantum ESPRESSO input):
```
&SYSTEM
  ibrav = 0, nat = 44, ntyp = 4
/
ATOMIC_SPECIES
Fe 55.84 Fe.upf
O 16.00 O.upf
Li 6.94 Li.upf
B 10.81 B.upf
CELL_PARAMETERS angstrom
-2.810 -2.635 -3.610
4.267 -7.637 2.337
-8.002 3.147 7.478
ATOMIC_POSITIONS angstrom
Fe -2.812 -1.929 -1.645
Fe -2.922 0.825 2.705
Fe 0.848 -4.517 1.342
Fe -4.330 -2.931 3.972
Fe -3.718 -5.026 7.809
Fe -2.150 -4.135 2.146
Fe -3.600 -8.094 3.328
Fe -7.233 -2.539 4.830
O -0.526 -6.374 -1.071
O -0.587 -4.748 3.230
O 0.544 -6.454 1.074
O -4.067 0.533 4.495
O -7.472 -0.622 5.358
O -3.911 -0.339 1.485
O -3.057 -6.823 4.637
O -3.745 -3.095 8.201
O -1.255 -1.417 -0.532
O -0.006 -8.499 -0.019
O -3.727 -1.702 5.270
O -3.922 -2.226 0.009
O -2.350 -7.528 1.794
O -5.900 -0.741 7.177
O -6.337 1.386 6.097
O -0.792 -3.346 0.818
O -2.711 -3.825 -2.149
O -2.412 -4.978 5.994
O -5.572 -3.727 5.497
O -2.717 -5.369 0.810
O -3.208 -2.487 2.291
O -5.971 -2.492 3.069
O -3.289 -4.582 3.785
O -5.258 -5.848 6.626
Li -0.529 -6.767 2.651
Li -4.805 -2.428 6.784
Li -1.394 -4.518 -0.782
Li -8.431 0.063 3.834
B -0.660 -1.941 0.597
B -5.821 -5.118 5.556
B -3.682 -1.647 1.248
B 0.023 -7.084 -0.002
B -2.898 -5.480 4.797
B -0.034 -4.097 4.357
B -6.458 -2.988 1.857
B -6.565 -0.008 6.194
```

Calculated values
E	-7.1155	eV/atom
excess energy over the best structure of this formula in the dataset	0.006	eV/atom
ΔE_f	-2.2735	eV per atom

***

DFT (PBE with a Hubbard U) results for a relaxed LiFe2B2O6 crystal. Values from VASP.

Structure (Quantum ESPRESSO input):
```
&SYSTEM
  ibrav = 0, nat = 22, ntyp = 4
/
ATOMIC_SPECIES
Fe 55.84 Fe.upf
B 10.81 B.upf
O 16.00 O.upf
Li 6.94 Li.upf
CELL_PARAMETERS angstrom
-3.965 -2.597 -2.321
3.801 -2.673 2.502
-5.299 0.408 8.537
ATOMIC_POSITIONS angstrom
Fe -2.186 -1.544 6.169
Fe -3.452 -3.116 8.460
Fe -1.933 -1.725 0.412
Fe -3.448 -3.294 2.548
B -4.706 -1.505 4.610
B 0.581 -1.734 1.980
B -6.037 -3.110 6.784
B -0.800 -3.339 4.123
O 0.761 -3.096 1.631
O -0.382 -0.991 1.377
O -0.838 -2.045 4.611
O -2.824 -1.308 8.247
O -2.160 -3.607 6.816
O -3.510 -1.480 1.907
O -1.803 -3.824 3.331
O -4.492 -2.867 4.283
O -2.554 -3.781 0.657
O -6.440 -1.813 7.045
O -3.728 -0.780 5.213
O -4.890 -3.616 7.328
Li -0.916 -4.403 1.613
Li -3.751 -4.197 5.766
```

Calculated values
E	-7.1192	eV/atom
excess energy over the best structure of this formula in the dataset	0.002	eV/atom
ΔE_f	-2.2773	eV per atom

***

DFT (PBE with a Hubbard U) results for a relaxed LiFe2B2O6 crystal. Values from VASP.

Structure (Quantum ESPRESSO input):
```
&SYSTEM
  ibrav = 0, nat = 44, ntyp = 4
/
ATOMIC_SPECIES
B 10.81 B.upf
O 16.00 O.upf
Fe 55.84 Fe.upf
Li 6.94 Li.upf
CELL_PARAMETERS angstrom
5.244 0.000 0.000
0.055 9.083 0.000
0.210 0.091 10.172
ATOMIC_POSITIONS angstrom
B 4.530 1.622 8.953
B 0.960 4.599 6.324
B 4.416 4.522 3.795
B 1.954 6.087 8.915
B 0.958 7.602 1.361
B 3.655 0.084 6.415
B 1.931 9.100 3.802
B 3.605 2.989 1.316
O 1.531 5.790 5.839
O 1.672 8.736 0.956
O 3.626 5.618 3.542
O 1.176 1.201 3.761
O 4.372 1.842 1.625
O 3.850 3.352 4.265
O 4.265 1.290 6.055
O 3.774 0.589 9.521
O 1.369 7.222 8.360
O 0.557 4.575 3.516
O 4.457 8.034 6.479
O 1.383 7.944 4.356
O 4.968 4.656 6.936
O 1.131 5.077 9.400
O 1.614 3.400 6.137
O 0.610 1.479 8.702
O 2.247 2.949 1.476
O 3.204 9.065 3.246
O 4.252 4.156 0.904
O 2.266 0.093 6.687
O 3.875 2.815 8.610
O 3.300 5.993 9.070
O 1.664 6.477 1.805
O 4.836 7.613 1.320
Fe 1.944 9.102 8.934
Fe 4.558 4.611 8.921
Fe 3.572 0.033 1.264
Fe 1.045 7.628 6.449
Fe 3.578 3.203 6.456
Fe 4.457 1.407 3.940
Fe 1.040 4.492 1.256
Fe 1.807 6.105 3.849
Li 1.041 1.511 1.630
Li 3.660 6.045 1.560
Li 1.832 3.057 4.091
Li 0.936 1.672 6.783
```

Calculated values
E	-7.1084	eV/atom
excess energy over the best structure of this formula in the dataset	0.013	eV/atom
ΔE_f	-2.2665	eV per atom

***

DFT (PBE with a Hubbard U) results for a relaxed LiFe2B2O6 crystal. Values from VASP.

Structure (Quantum ESPRESSO input):
```
&SYSTEM
  ibrav = 0, nat = 44, ntyp = 4
/
ATOMIC_SPECIES
Fe 55.84 Fe.upf
O 16.00 O.upf
B 10.81 B.upf
Li 6.94 Li.upf
CELL_PARAMETERS angstrom
5.254 0.000 0.000
-0.007 9.139 0.000
-0.005 -0.197 10.103
ATOMIC_POSITIONS angstrom
Fe 4.292 4.293 8.688
Fe 0.865 4.546 1.210
Fe 3.550 5.935 6.263
Fe 0.867 1.383 6.355
Fe 3.524 8.990 1.204
Fe 1.831 3.047 3.798
Fe 1.643 -0.121 8.802
Fe 4.469 7.602 3.794
O 1.120 1.117 4.139
O 4.305 0.953 6.165
O 0.987 1.862 8.331
O 3.693 5.647 4.192
O 4.801 4.494 6.598
O 3.779 3.312 3.600
O 0.481 4.672 3.309
O 0.439 7.424 8.774
O 2.165 -0.015 6.686
O 4.248 4.881 0.870
O 3.120 0.056 3.251
O 1.035 4.107 9.256
O 1.396 3.182 5.837
O 3.061 2.838 9.066
O 3.944 7.765 5.846
O 1.157 7.889 3.738
O 1.719 5.464 6.473
O 3.592 8.437 9.370
O 3.609 6.282 8.330
O 2.168 5.885 1.431
O 1.704 0.479 0.823
O 4.151 7.180 1.633
O 4.786 1.373 1.397
O 1.521 2.732 1.554
B 3.523 5.996 1.292
B 1.724 2.919 8.859
B 4.393 4.520 3.717
B 0.897 4.386 6.292
B 3.476 9.013 6.258
B 4.341 7.393 8.825
B 0.897 1.504 1.251
B 1.782 -0.043 3.713
Li 4.447 1.502 3.587
Li 1.627 5.993 8.426
Li 1.806 6.158 3.415
Li 3.487 2.901 0.904
```

Calculated values
E	-7.1102	eV/atom
excess energy over the best structure of this formula in the dataset	0.011	eV/atom
ΔE_f	-2.2682	eV per atom

***

DFT (PBE with a Hubbard U) results for a relaxed LiFe2B2O6 crystal. Values from VASP.

Structure (Quantum ESPRESSO input):
```
&SYSTEM
  ibrav = 0, nat = 44, ntyp = 4
/
ATOMIC_SPECIES
O 16.00 O.upf
Fe 55.84 Fe.upf
B 10.81 B.upf
Li 6.94 Li.upf
CELL_PARAMETERS angstrom
-7.922 4.214 1.296
-1.048 -3.212 4.036
3.552 3.541 10.204
ATOMIC_POSITIONS angstrom
O -3.909 -0.464 4.851
O -5.757 4.466 10.547
O -1.857 3.663 12.919
O -2.517 1.299 7.635
O -1.439 1.161 5.490
O 2.496 2.959 10.112
O -0.035 -1.399 6.959
O -1.010 3.610 10.680
O -2.086 0.952 2.207
O 0.646 1.485 12.699
O -3.721 4.538 7.867
O -6.297 1.922 5.095
O -0.402 -1.098 4.279
O 1.100 1.180 7.318
O -1.419 3.878 8.013
O -3.566 2.255 5.706
O 0.007 1.284 9.457
O -6.085 4.808 6.123
O -5.526 4.237 13.249
O -3.073 4.746 11.150
O -3.798 2.428 3.010
O -7.492 3.035 3.331
O -5.661 2.125 8.338
O -3.251 1.902 10.136
Fe -4.757 1.231 4.245
Fe -4.292 0.710 8.509
Fe -4.609 5.467 12.025
Fe -1.578 2.255 9.117
Fe -1.182 1.771 13.392
Fe -0.220 0.716 1.536
Fe 0.176 0.207 5.850
Fe -5.064 6.009 7.720
B -1.990 4.030 11.593
B -2.451 4.516 7.340
B -2.905 2.042 2.022
B 1.480 0.426 12.921
B 1.059 0.907 8.677
B -7.352 2.666 4.660
B -6.905 2.171 8.900
B -2.480 1.576 6.280
Li -5.032 3.109 6.776
Li -4.090 3.803 9.645
Li 0.724 2.762 11.227
Li -2.044 -0.001 3.918
```

Calculated values
E	-7.1214	eV/atom
excess energy over the best structure of this formula in the dataset	0.000	eV/atom
ΔE_f	-2.2795	eV per atom

***

DFT (PBE with a Hubbard U) results for a relaxed LiFe8B8O24 crystal. Values from VASP.

Structure (Quantum ESPRESSO input):
```
&SYSTEM
  ibrav = 0, nat = 41, ntyp = 4
/
ATOMIC_SPECIES
O 16.00 O.upf
B 10.81 B.upf
Li 6.94 Li.upf
Fe 55.84 Fe.upf
CELL_PARAMETERS angstrom
5.220 0.000 0.000
-0.175 9.191 0.000
-2.434 -4.547 10.149
ATOMIC_POSITIONS angstrom
O 0.784 3.989 0.659
O 2.319 -3.212 8.797
O 1.361 5.809 3.806
O 1.531 2.780 8.370
O 3.116 -0.036 6.789
O -1.311 5.853 5.856
O -0.380 1.387 8.799
O 3.623 6.458 1.664
O 1.812 0.626 9.383
O 3.554 3.554 6.379
O 1.126 1.896 1.802
O 4.055 -1.230 4.270
O 1.257 3.447 4.349
O 2.988 3.261 1.225
O 3.322 8.624 0.691
O -0.553 4.510 3.204
O -0.717 -3.930 9.436
O 1.398 1.297 5.766
O 0.254 7.977 1.548
O 2.176 -0.001 3.350
O 0.451 4.578 6.856
O 0.998 -1.016 6.216
O -0.909 1.079 3.712
O -0.997 -1.814 8.332
B -1.576 -2.981 8.845
B -0.865 4.645 6.364
B 1.667 3.073 1.227
B 4.162 7.666 1.289
B 0.705 4.626 3.782
B 1.819 0.056 6.275
B 0.952 1.592 8.856
B 3.533 -0.025 3.786
Li 0.702 7.580 3.525
Fe 0.888 1.593 3.804
Fe -1.642 0.016 8.835
Fe -0.816 -1.488 6.296
Fe 0.886 4.608 8.848
Fe 1.744 0.110 1.243
Fe 1.742 3.152 6.329
Fe 4.249 4.634 1.262
Fe 3.341 5.985 3.823
```

Calculated values
E	-7.2633	eV/atom
excess energy over the best structure of this formula in the dataset	0.002	eV/atom
ΔE_f	-2.2067	eV per atom